# 1
The following is a DFT calculation (PBE-GGA) of a relaxed structure of Tb6PbSe10.

Properties
Distance to the lowest polymorph of the same formula ... 699 meV/atom
E_form ... -1.2557 eV/atom
Magnetic moment ... 0.03 μB per cell
Symmetry ... No. 1

a b c (Å): 7.6269 7.6338 31.5243
angles (deg): 94.68 94.52 109.57
Atoms (fractional coordinates):
Se: 0.7003 0.8426 0.2003
Se: 0.4782 0.4813 0.4691
Se: 0.4805 0.9958 0.1303
Se: 0.4791 0.9731 0.6323
Se: 0.2789 0.2688 0.2743
Se: 0.5532 0.4015 0.8987
Se: 0.2879 0.7784 0.9288
Se: 0.0810 0.5880 0.7272
Se: 0.2279 0.5939 0.0983
Se: 0.3345 0.2030 0.7003
Se: 0.5774 0.5844 0.5742
Se: 0.8668 0.8751 0.8693
Se: 0.2945 0.8059 0.4270
Se: 0.6426 0.9869 0.5000
Se: 0.7744 0.7723 0.7722
Se: 0.6749 0.6658 0.6739
Se: 0.8890 0.3966 0.5312
Se: 0.3778 0.3726 0.3690
Se: 0.4986 0.1500 0.9969
Se: 0.0806 0.5995 0.2302
Se: 0.7018 0.3466 0.1991
Se: 0.0377 0.4080 0.8999
Se: 0.9424 0.7903 0.3029
Se: 0.1362 0.9794 0.5027
Se: 0.3025 0.4556 0.7986
Se: 0.6999 0.1915 0.8266
Se: 0.0871 0.7265 0.6024
Se: 0.0820 0.0749 0.0723
Se: 0.8986 0.0344 0.3981
Se: 0.6792 0.1878 0.3307
Se: 0.9742 0.9695 0.9699
Se: 0.7607 0.5915 0.0989
Se: 0.3039 0.9377 0.7979
Se: 0.0949 0.2465 0.6016
Se: 0.8972 0.5468 0.3990
Se: 0.4286 0.7932 0.3006
Se: 0.8946 0.3941 0.0257
Se: 0.8311 0.1967 0.7022
Se: 0.1680 0.1604 0.1680
Se: 0.4957 0.6314 0.9988
Tb: 0.3473 0.9820 0.2250
Tb: 0.6165 0.3718 0.7528
Tb: 0.6756 0.0564 0.9216
Tb: 0.4726 0.7193 0.8512
Tb: 0.5408 0.1810 0.4306
Tb: 0.2303 0.3534 0.9696
Tb: 0.7449 0.3656 0.6257
Tb: 0.0251 0.7732 0.1499
Tb: 0.4702 0.8432 0.7247
Tb: 0.8341 0.5917 0.9466
Tb: 0.8714 0.2432 0.1259
Tb: 0.2230 0.9718 0.3512
Tb: 0.6550 0.5270 0.2754
Tb: 0.0628 0.9295 0.6709
Tb: 0.8248 0.9688 0.5727
Tb: 0.4570 0.3294 0.0742
Tb: 0.2725 0.5286 0.6491
Tb: 0.2803 0.6394 0.5279
Tb: 0.0314 0.1454 0.7790
Tb: 0.8452 0.7220 0.4762
Tb: 0.9490 0.5770 0.8259
Tb: 0.1538 0.7791 0.0221
Tb: 0.6187 0.7441 0.3762
Tb: 0.0689 0.4400 0.3271
Pb: 0.4264 0.5522 0.1729
Pb: 0.8804 0.1277 0.2495
Pb: 0.0724 0.3161 0.4538
Pb: 0.6805 0.9228 0.0481


# 2
The following is a DFT calculation (PBE-GGA) of a relaxed structure of Tb6PbSe10.

Properties
Distance to the lowest polymorph of the same formula ... 206 meV/atom
E_form ... -1.7485 eV/atom
Magnetic moment ... 0.00 μB per cell
Symmetry ... No. 1

a b c (Å): 7.6269 7.6338 31.5243
angles (deg): 94.68 94.52 109.57
Atoms (fractional coordinates):
Se: 0.0099 0.5185 0.3307
Se: 0.3108 0.8296 0.2302
Se: 0.5333 0.8990 0.7022
Se: 0.1114 0.6054 0.6323
Se: 0.9203 0.4198 0.0257
Se: 0.0348 0.9033 0.7003
Se: 0.9009 0.5458 0.1991
Se: 0.4201 0.9277 0.5312
Se: 0.6389 0.4821 0.5027
Se: 0.6108 0.1261 0.1303
Se: 0.9375 0.3079 0.8999
Se: 0.5532 0.5431 0.2743
Se: 0.9006 0.0428 0.2003
Se: 0.4945 0.6302 0.9988
Se: 0.3359 0.3284 0.1680
Se: 0.7361 0.7444 0.8693
Se: 0.4955 0.1468 0.9969
Se: 0.7468 0.7415 0.3690
Se: 0.1517 0.1586 0.5742
Se: 0.7215 0.2329 0.4270
Se: 0.8082 0.3153 0.7272
Se: 0.3262 0.6921 0.0983
Se: 0.1018 0.7357 0.7979
Se: 0.2168 0.7072 0.9288
Se: 0.6965 0.8481 0.6016
Se: 0.1542 0.1472 0.0723
Se: 0.7291 0.0937 0.3006
Se: 0.3488 0.3398 0.6739
Se: 0.1426 0.4868 0.5000
Se: 0.9473 0.9504 0.4691
Se: 0.5466 0.5445 0.7722
Se: 0.2967 0.4325 0.3981
Se: 0.4520 0.3002 0.8987
Se: 0.5265 0.0181 0.8266
Se: 0.6895 0.3289 0.6024
Se: 0.2453 0.0931 0.3029
Se: 0.9441 0.9394 0.9699
Se: 0.8595 0.6904 0.0989
Se: 0.1011 0.2542 0.7986
Se: 0.2962 0.9458 0.3990
Tb: 0.9714 0.6117 0.4306
Tb: 0.5312 0.4036 0.0742
Tb: 0.3214 0.1982 0.4762
Tb: 0.3706 0.9913 0.6257
Tb: 0.1759 0.8013 0.0221
Tb: 0.5723 0.2070 0.2250
Tb: 0.3975 0.5415 0.5727
Tb: 0.1949 0.5679 0.7247
Tb: 0.1750 0.9232 0.1499
Tb: 0.9303 0.8024 0.2754
Tb: 0.3694 0.1247 0.7528
Tb: 0.9973 0.3691 0.1259
Tb: 0.3960 0.7671 0.3271
Tb: 0.3238 0.5705 0.8512
Tb: 0.9216 0.1776 0.6491
Tb: 0.7749 0.4029 0.8259
Tb: 0.8082 0.1674 0.5279
Tb: 0.5741 0.3230 0.3512
Tb: 0.9949 0.1204 0.3762
Tb: 0.7807 0.5383 0.9466
Tb: 0.5972 0.9780 0.9216
Tb: 0.7336 0.6004 0.6709
Tb: 0.1998 0.3230 0.9696
Tb: 0.8104 0.9244 0.7790
Pb: 0.1299 0.3771 0.2495
Pb: 0.5262 0.7700 0.4538
Pb: 0.7287 0.9709 0.0481
Pb: 0.5993 0.7251 0.1729


# 3
The following is a DFT calculation (PBE-GGA) of a relaxed structure of Tb6PbSe10.

Properties
Distance to the lowest polymorph of the same formula ... 0 meV/atom
E_form ... -1.9550 eV/atom
Magnetic moment ... 0.00 μB per cell
Symmetry ... No. 1

a b c (Å): 7.6338 7.6269 38.1824
angles (deg): 109.30 109.48 109.57
Atoms (fractional coordinates):
Se: 0.6339 0.6238 0.7257
Se: 0.6423 0.6454 0.5309
Se: 0.0132 0.3575 0.5000
Se: 0.8568 0.5017 0.8009
Se: 0.9943 0.3600 0.2978
Se: 0.6361 0.6290 0.9277
Se: 0.9983 0.8461 0.6971
Se: 0.5020 0.9936 0.1734
Se: 0.4860 0.9974 0.5730
Se: 0.3564 0.4986 0.7997
Se: 0.9925 0.3628 0.1001
Se: 0.1677 0.1601 0.8320
Se: 0.4830 0.9982 0.8697
Se: 0.1516 0.1464 0.6310
Se: 0.5031 0.0102 0.2728
Se: 0.6384 0.6294 0.3261
Se: 0.3735 0.5091 0.0012
Se: 0.9959 0.8644 0.2997
Se: 0.8640 0.5034 0.3976
Se: 0.0037 0.8519 0.1013
Se: 0.1187 0.1257 0.4258
Se: 0.8626 0.5139 0.0031
Se: 0.8705 0.5043 0.2021
Se: 0.5031 0.0026 0.9743
Se: 0.3733 0.5090 0.6019
Se: 0.1510 0.1463 0.0301
Se: 0.1390 0.1369 0.2278
Se: 0.8573 0.5069 0.6010
Se: 0.4788 0.9864 0.4688
Se: 0.0130 0.8438 0.9011
Se: 0.0099 0.8531 0.4973
Se: 0.3500 0.5031 0.2014
Se: 0.6476 0.6559 0.1307
Se: 0.4894 0.9980 0.6693
Se: 0.3470 0.4986 0.3984
Se: 0.4978 0.9918 0.3677
Se: 0.0046 0.3692 0.6994
Se: 0.0130 0.3790 0.9017
Se: 0.5062 0.9967 0.0712
Se: 0.4799 0.9987 0.7698
Tb: 0.1316 0.7523 0.3743
Tb: 0.2518 0.6229 0.6729
Tb: 0.3732 0.2500 0.5238
Tb: 0.7509 0.8764 0.6238
Tb: 0.2533 0.6251 0.8741
Tb: 0.3871 0.2538 0.3291
Tb: 0.8752 0.1312 0.3509
Tb: 0.7386 0.8526 0.2210
Tb: 0.6168 0.3721 0.2472
Tb: 0.6235 0.3724 0.6488
Tb: 0.6220 0.3795 0.0534
Tb: 0.6270 0.3752 0.8501
Tb: 0.0964 0.7367 0.5694
Tb: 0.2489 0.6081 0.4721
Tb: 0.7684 0.8915 0.0304
Tb: 0.8759 0.1226 0.1488
Tb: 0.1194 0.7474 0.1741
Tb: 0.2571 0.6379 0.0784
Tb: 0.3737 0.2461 0.9258
Tb: 0.1324 0.7577 0.9779
Tb: 0.2580 0.6310 0.2753
Tb: 0.1181 0.7528 0.7750
Tb: 0.3715 0.2435 0.7246
Tb: 0.7404 0.8845 0.4273
Pb: 0.8847 0.1269 0.9519
Pb: 0.7561 0.8819 0.8271
Pb: 0.8744 0.1217 0.7505
Pb: 0.8685 0.1123 0.5462


# 4
The following is a DFT calculation (PBE-GGA) of a relaxed structure of TePb2Se.

Properties
E_form ... -0.5940 eV/atom
Symmetry ... No. 166

a b c (Å): 7.8307 7.8307 7.8307
angles (deg): 33.57 33.57 33.57
Atoms (fractional coordinates):
Te: 0.5000 0.5000 0.5000
Pb: 0.7450 0.7450 0.7450
Pb: 0.2550 0.2550 0.2550
Se: 0.0000 0.0000 0.0000


# 5
The following is a DFT calculation (PBE-GGA) of a relaxed structure of Sm5Pb4.

Properties
E_form ... -0.5670 eV/atom
Symmetry ... No. 62

a b c (Å): 8.3780 8.4866 16.0606
angles (deg): 90.00 90.00 90.00
Atoms (fractional coordinates):
Sm: 0.2917 0.0031 0.7500
Sm: 0.7917 0.4969 0.7500
Sm: 0.6224 0.1598 0.6191
Sm: 0.2083 0.5031 0.2500
Sm: 0.5315 0.3215 0.3990
Sm: 0.8776 0.6598 0.1191
Sm: 0.9685 0.8215 0.6010
Sm: 0.9685 0.8215 0.8990
Sm: 0.1224 0.3402 0.8809
Sm: 0.0315 0.1785 0.1010
Sm: 0.3776 0.8402 0.1191
Sm: 0.4685 0.6785 0.6010
Sm: 0.3776 0.8402 0.3809
Sm: 0.7083 0.9969 0.2500
Sm: 0.5315 0.3215 0.1010
Sm: 0.4685 0.6785 0.8990
Sm: 0.8776 0.6598 0.3809
Sm: 0.6224 0.1598 0.8809
Sm: 0.0315 0.1785 0.3990
Sm: 0.1224 0.3402 0.6191
Pb: 0.2806 0.0319 0.5430
Pb: 0.7806 0.4681 0.5430
Pb: 0.2194 0.5319 0.4570
Pb: 0.5732 0.6265 0.2500
Pb: 0.7194 0.9681 0.0430
Pb: 0.3405 0.1484 0.2500
Pb: 0.2194 0.5319 0.0430
Pb: 0.7194 0.9681 0.4570
Pb: 0.8405 0.3516 0.2500
Pb: 0.2806 0.0319 0.9570
Pb: 0.4268 0.3735 0.7500
Pb: 0.0732 0.8735 0.2500
Pb: 0.9268 0.1265 0.7500
Pb: 0.6595 0.8516 0.7500
Pb: 0.7806 0.4681 0.9570
Pb: 0.1595 0.6484 0.7500


# 6
The following is a DFT calculation (PBE-GGA) of a relaxed structure of SnTe2Pb.

Properties
E_form ... -0.3425 eV/atom
Symmetry ... No. 166

a b c (Å): 7.9453 7.9453 7.9453
angles (deg): 33.57 33.57 33.57
Atoms (fractional coordinates):
Te: 0.7524 0.7524 0.7524
Te: 0.2476 0.2476 0.2476
Sn: 0.5000 0.5000 0.5000
Pb: 0.0000 0.0000 0.0000


# 7
The following is a DFT calculation (PBE-GGA) of a relaxed structure of SnTe2Pb.

Properties
E_form ... -0.3402 eV/atom
Symmetry ... No. 123

a b c (Å): 4.5847 4.5847 6.5060
angles (deg): 90.00 90.00 90.00
Atoms (fractional coordinates):
Pb: 0.0000 0.0000 0.0000
Te: 0.0000 0.0000 0.5000
Te: 0.5000 0.5000 0.0000
Sn: 0.5000 0.5000 0.5000


# 8
The following is a DFT calculation (PBE-GGA) of a relaxed structure of Tl8SnTe6Pb.

Properties
E_form ... -0.3110 eV/atom
Magnetic moment ... 0.00 μB per cell
Symmetry ... No. 87

a b c (Å): 9.2190 9.2190 9.2190
angles (deg): 121.91 121.91 86.73
Atoms (fractional coordinates):
Tl: 0.0126 0.5119 0.2076
Tl: 0.1950 0.9874 0.4993
Tl: 0.8050 0.0126 0.5007
Tl: 0.5119 0.3043 0.4993
Tl: 0.9874 0.4881 0.7924
Tl: 0.3043 0.8050 0.7924
Tl: 0.6957 0.1950 0.2076
Tl: 0.4881 0.6957 0.5007
Sn: 0.0000 0.0000 0.0000
Pb: 0.5000 0.5000 0.0000
Te: 0.7528 0.7528 0.0000
Te: 0.8379 0.6679 0.5058
Te: 0.1621 0.3321 0.4942
Te: 0.2472 0.2472 0.0000
Te: 0.3321 0.8379 0.1701
Te: 0.6679 0.1621 0.8299


# 9
The following is a DFT calculation (PBE-GGA) of a relaxed structure of U2Sn3Pb3.

Properties
E_form ... 0.0299 eV/atom
Magnetic moment ... 4.85 μB per cell
Symmetry ... No. 47

a b c (Å): 4.6745 4.7093 9.4844
angles (deg): 90.00 90.00 90.00
Atoms (fractional coordinates):
Pb: 0.5000 0.5000 0.7524
Pb: 0.0000 0.5000 0.5000
Pb: 0.5000 0.5000 0.2476
Sn: 0.5000 0.0000 0.5000
Sn: 0.0000 0.5000 0.0000
Sn: 0.5000 0.0000 0.0000
U: 0.0000 0.0000 0.7548
U: 0.0000 0.0000 0.2452


# 10
The following is a DFT calculation (PBE-GGA) of a relaxed structure of Zr5SnPb3.

Properties
E_form ... -0.3530 eV/atom
Symmetry ... No. 193

a b c (Å): 8.9874 8.9874 6.0379
angles (deg): 90.00 90.00 120.00
Atoms (fractional coordinates):
Pb: 0.0000 0.6137 0.7500
Pb: 0.0000 0.3863 0.2500
Pb: 0.3863 0.3863 0.7500
Pb: 0.6137 0.0000 0.7500
Pb: 0.3863 0.0000 0.2500
Pb: 0.6137 0.6137 0.2500
Zr: 0.3333 0.6667 0.5000
Zr: 0.0000 0.2787 0.7500
Zr: 0.2787 0.2787 0.2500
Zr: 0.6667 0.3333 0.5000
Zr: 0.3333 0.6667 0.0000
Zr: 0.0000 0.7213 0.2500
Zr: 0.2787 0.0000 0.7500
Zr: 0.7213 0.0000 0.2500
Zr: 0.7213 0.7213 0.7500
Zr: 0.6667 0.3333 0.0000
Sn: 0.0000 0.0000 0.5000
Sn: 0.0000 0.0000 0.0000


# 11
The following is a DFT calculation (PBE-GGA) of a relaxed structure of Sr5Pb4.

Properties
E_form ... -0.5107 eV/atom
Magnetic moment ... 1.84 μB per cell
Symmetry ... No. 62

a b c (Å): 8.6159 9.0264 17.7075
angles (deg): 90.00 90.00 90.00
Atoms (fractional coordinates):
Pb: 0.2023 0.6363 0.7500
Pb: 0.9537 0.1073 0.7500
Pb: 0.1723 0.5248 0.0378
Pb: 0.6723 0.9752 0.4622
Pb: 0.0463 0.8927 0.2500
Pb: 0.7977 0.3637 0.2500
Pb: 0.7023 0.8637 0.7500
Pb: 0.8277 0.4752 0.5378
Pb: 0.3277 0.0248 0.9622
Pb: 0.6723 0.9752 0.0378
Pb: 0.4537 0.3927 0.7500
Pb: 0.2977 0.1363 0.2500
Pb: 0.8277 0.4752 0.9622
Pb: 0.1723 0.5248 0.4622
Pb: 0.5463 0.6073 0.2500
Pb: 0.3277 0.0248 0.5378
Sr: 0.3426 0.8236 0.3764
Sr: 0.0044 0.1783 0.0975
Sr: 0.1574 0.3236 0.8764
Sr: 0.4956 0.6783 0.9025
Sr: 0.6574 0.1764 0.8764
Sr: 0.5044 0.3217 0.4025
Sr: 0.8426 0.6764 0.3764
Sr: 0.6574 0.1764 0.6236
Sr: 0.8269 0.5045 0.7500
Sr: 0.9956 0.8217 0.5975
Sr: 0.5044 0.3217 0.0975
Sr: 0.8426 0.6764 0.1236
Sr: 0.3269 0.9955 0.7500
Sr: 0.1731 0.4955 0.2500
Sr: 0.1574 0.3236 0.6236
Sr: 0.6731 0.0045 0.2500
Sr: 0.3426 0.8236 0.1236
Sr: 0.0044 0.1783 0.4025
Sr: 0.4956 0.6783 0.5975
Sr: 0.9956 0.8217 0.9025


# 12
The following is a DFT calculation (PBE-GGA) of a relaxed structure of SrPb3.

Properties
E_form ... -0.3230 eV/atom
Symmetry ... No. 221

a b c (Å): 5.0520 5.0520 5.0520
angles (deg): 90.00 90.00 90.00
Atoms (fractional coordinates):
Pb: 0.5000 0.5000 0.0000
Pb: 0.0000 0.5000 0.5000
Pb: 0.5000 0.0000 0.5000
Sr: 0.0000 0.0000 0.0000


> What is the formula in the fifth record?

Sm5Pb4


> Which formula does entry 9 have?

U2Sn3Pb3


Please write out number 1 again, unchanged.
The following is a DFT calculation (PBE-GGA) of a relaxed structure of Tb6PbSe10.

Properties
Distance to the lowest polymorph of the same formula ... 699 meV/atom
E_form ... -1.2557 eV/atom
Magnetic moment ... 0.03 μB per cell
Symmetry ... No. 1

a b c (Å): 7.6269 7.6338 31.5243
angles (deg): 94.68 94.52 109.57
Atoms (fractional coordinates):
Se: 0.7003 0.8426 0.2003
Se: 0.4782 0.4813 0.4691
Se: 0.4805 0.9958 0.1303
Se: 0.4791 0.9731 0.6323
Se: 0.2789 0.2688 0.2743
Se: 0.5532 0.4015 0.8987
Se: 0.2879 0.7784 0.9288
Se: 0.0810 0.5880 0.7272
Se: 0.2279 0.5939 0.0983
Se: 0.3345 0.2030 0.7003
Se: 0.5774 0.5844 0.5742
Se: 0.8668 0.8751 0.8693
Se: 0.2945 0.8059 0.4270
Se: 0.6426 0.9869 0.5000
Se: 0.7744 0.7723 0.7722
Se: 0.6749 0.6658 0.6739
Se: 0.8890 0.3966 0.5312
Se: 0.3778 0.3726 0.3690
Se: 0.4986 0.1500 0.9969
Se: 0.0806 0.5995 0.2302
Se: 0.7018 0.3466 0.1991
Se: 0.0377 0.4080 0.8999
Se: 0.9424 0.7903 0.3029
Se: 0.1362 0.9794 0.5027
Se: 0.3025 0.4556 0.7986
Se: 0.6999 0.1915 0.8266
Se: 0.0871 0.7265 0.6024
Se: 0.0820 0.0749 0.0723
Se: 0.8986 0.0344 0.3981
Se: 0.6792 0.1878 0.3307
Se: 0.9742 0.9695 0.9699
Se: 0.7607 0.5915 0.0989
Se: 0.3039 0.9377 0.7979
Se: 0.0949 0.2465 0.6016
Se: 0.8972 0.5468 0.3990
Se: 0.4286 0.7932 0.3006
Se: 0.8946 0.3941 0.0257
Se: 0.8311 0.1967 0.7022
Se: 0.1680 0.1604 0.1680
Se: 0.4957 0.6314 0.9988
Tb: 0.3473 0.9820 0.2250
Tb: 0.6165 0.3718 0.7528
Tb: 0.6756 0.0564 0.9216
Tb: 0.4726 0.7193 0.8512
Tb: 0.5408 0.1810 0.4306
Tb: 0.2303 0.3534 0.9696
Tb: 0.7449 0.3656 0.6257
Tb: 0.0251 0.7732 0.1499
Tb: 0.4702 0.8432 0.7247
Tb: 0.8341 0.5917 0.9466
Tb: 0.8714 0.2432 0.1259
Tb: 0.2230 0.9718 0.3512
Tb: 0.6550 0.5270 0.2754
Tb: 0.0628 0.9295 0.6709
Tb: 0.8248 0.9688 0.5727
Tb: 0.4570 0.3294 0.0742
Tb: 0.2725 0.5286 0.6491
Tb: 0.2803 0.6394 0.5279
Tb: 0.0314 0.1454 0.7790
Tb: 0.8452 0.7220 0.4762
Tb: 0.9490 0.5770 0.8259
Tb: 0.1538 0.7791 0.0221
Tb: 0.6187 0.7441 0.3762
Tb: 0.0689 0.4400 0.3271
Pb: 0.4264 0.5522 0.1729
Pb: 0.8804 0.1277 0.2495
Pb: 0.0724 0.3161 0.4538
Pb: 0.6805 0.9228 0.0481


> Look up the E_form of the third one.

-1.9550 eV/atom